# 1
An optimized crystal structure of Cd2PCl2. Source: the Materials Project database, functional PBE.

Calculated values
**Energy of formation**: -4.7 eV per formula unit
**Magnetization**: 0.00 μB/cell
**Crystal system**: monoclinic
**V**: 25.33 Å³/atom
**Corrected total energy (MP2020 scheme)**: -3.13 eV per atom
**Mass density**: 4.283 g/cm3
**SG**: P2_1/c, No. 14

Cell lengths 7.8537, 9.1178, 8.1414 Å; angles 90.00, 119.64, 90.00 degrees
Element x y z (fractional)
Cd  0.0312  0.2049  0.2091
Cd  0.0312  0.2951  0.7091
Cd  0.4307  0.5808  0.2320
Cd  0.4307  0.9192  0.7320
Cd  0.5693  0.0808  0.2680
Cd  0.5693  0.4192  0.7680
Cd  0.9688  0.7049  0.2909
Cd  0.9688  0.7951  0.7909
P  0.0653  0.6086  0.0553
P  0.0653  0.8914  0.5553
P  0.9347  0.1086  0.4447
P  0.9347  0.3914  0.9447
Cl  0.2433  0.5267  0.6944
Cl  0.2433  0.9733  0.1944
Cl  0.4212  0.1960  0.9223
Cl  0.4212  0.3040  0.4223
Cl  0.5788  0.6960  0.5777
Cl  0.5788  0.8040  0.0777
Cl  0.7567  0.0267  0.8056
Cl  0.7567  0.4733  0.3056

# 2
An optimized crystal structure of Cd3PCl3. Source: the Materials Project database, functional PBE.

Calculated values
**Energy of formation**: -7.0 eV per formula unit
**Crystal system**: trigonal
**V**: 27.31 Å³/atom
**Corrected total energy (MP2020 scheme)**: -2.96 eV per atom
**Mass density**: 4.123 g/cm3
**SG**: P-3m1, No. 164

Cell lengths 7.7989, 7.7989, 7.2573 Å; angles 90.00, 90.00, 120.00 degrees
Element x y z (fractional)
Cd  0.0000  0.0000  0.0000
Cd  0.0000  0.5000  0.5000
Cd  0.3333  0.6667  0.0148
Cd  0.5000  0.0000  0.5000
Cd  0.5000  0.5000  0.5000
Cd  0.6667  0.3333  0.9852
P  0.3333  0.6667  0.3579
P  0.6667  0.3333  0.6421
Cl  0.1713  0.3425  0.8094
Cl  0.1713  0.8287  0.8094
Cl  0.3425  0.1713  0.1906
Cl  0.6575  0.8287  0.8094
Cl  0.8287  0.1713  0.1906
Cl  0.8287  0.6575  0.1906

# 3
An optimized crystal structure of Cd2P3Cl. Source: the Materials Project database, functional PBE.

Calculated values
**Energy of formation**: -2.7 eV per formula unit
**Magnetization**: 0.00 μB/cell
**Crystal system**: monoclinic
**V**: 23.34 Å³/atom
**Corrected total energy (MP2020 scheme)**: -3.78 eV per atom
**Mass density**: 4.188 g/cm3
**SG**: Cc, No. 9

Cell lengths 6.1164, 6.1164, 7.6672 Å; angles 96.92, 96.92, 96.79 degrees
Element x y z (fractional)
Cd  0.1537  0.8463  0.5000
Cd  0.3643  0.6715  0.9323
Cd  0.6715  0.3643  0.4323
Cd  0.8463  0.1537  0.0000
P  0.5640  0.9537  0.4656
P  0.5988  0.6892  0.2513
P  0.6892  0.5988  0.7513
P  0.8287  0.9191  0.6800
P  0.9191  0.8287  0.1800
P  0.9537  0.5640  0.9656
Cl  0.1219  0.3941  0.4594
Cl  0.3941  0.1219  0.9594

# 4
An optimized crystal structure of Cd7P4Cl6. Source: the Materials Project database, functional PBE.

Calculated values
**Energy of formation**: -14.6 eV per formula unit
**Crystal system**: cubic
**V**: 26.26 Å³/atom
**Corrected total energy (MP2020 scheme)**: -3.17 eV per atom
**Mass density**: 4.179 g/cm3
**SG**: Pa-3, No. 205

Cell lengths 12.1318, 12.1318, 12.1318 Å; angles 90.00, 90.00, 90.00 degrees
Element x y z (fractional)
Cd  0.0000  0.0000  0.0000
Cd  0.0000  0.5000  0.5000
Cd  0.0152  0.2253  0.7321
Cd  0.0152  0.2747  0.2321
Cd  0.2253  0.7321  0.0152
Cd  0.2253  0.7679  0.5152
Cd  0.2321  0.0152  0.2747
Cd  0.2321  0.4848  0.7747
Cd  0.2679  0.5152  0.2747
Cd  0.2679  0.9848  0.7747
Cd  0.2747  0.2321  0.0152
Cd  0.2747  0.2679  0.5152
Cd  0.4848  0.7253  0.7321
Cd  0.4848  0.7747  0.2321
Cd  0.5000  0.0000  0.5000
Cd  0.5000  0.5000  0.0000
Cd  0.5152  0.2253  0.7679
Cd  0.5152  0.2747  0.2679
Cd  0.7253  0.7321  0.4848
Cd  0.7253  0.7679  0.9848
Cd  0.7321  0.0152  0.2253
Cd  0.7321  0.4848  0.7253
Cd  0.7679  0.5152  0.2253
Cd  0.7679  0.9848  0.7253
Cd  0.7747  0.2321  0.4848
Cd  0.7747  0.2679  0.9848
Cd  0.9848  0.7253  0.7679
Cd  0.9848  0.7747  0.2679
P  0.1823  0.6823  0.8177
P  0.1823  0.8177  0.3177
P  0.2132  0.2132  0.2132
P  0.2132  0.2868  0.7132
P  0.2868  0.7132  0.2132
P  0.2868  0.7868  0.7132
P  0.3177  0.1823  0.8177
P  0.3177  0.3177  0.3177
P  0.6823  0.6823  0.6823
P  0.6823  0.8177  0.1823
P  0.7132  0.2132  0.2868
P  0.7132  0.2868  0.7868
P  0.7868  0.7132  0.2868
P  0.7868  0.7868  0.7868
P  0.8177  0.1823  0.6823
P  0.8177  0.3177  0.1823
Cl  0.0212  0.2178  0.9624
Cl  0.0212  0.2822  0.4624
Cl  0.0376  0.5212  0.2822
Cl  0.0376  0.9788  0.7822
Cl  0.2178  0.5376  0.5212
Cl  0.2178  0.9624  0.0212
Cl  0.2822  0.0376  0.5212
Cl  0.2822  0.4624  0.0212
Cl  0.4624  0.0212  0.2822
Cl  0.4624  0.4788  0.7822
Cl  0.4788  0.7178  0.9624
Cl  0.4788  0.7822  0.4624
Cl  0.5212  0.2178  0.5376
Cl  0.5212  0.2822  0.0376
Cl  0.5376  0.5212  0.2178
Cl  0.5376  0.9788  0.7178
Cl  0.7178  0.5376  0.9788
Cl  0.7178  0.9624  0.4788
Cl  0.7822  0.0376  0.9788
Cl  0.7822  0.4624  0.4788
Cl  0.9624  0.0212  0.2178
Cl  0.9624  0.4788  0.7178
Cl  0.9788  0.7178  0.5376
Cl  0.9788  0.7822  0.0376

# 5
An optimized crystal structure of Cr4CdCoS8. Source: the Materials Project database, functional PBE.

Calculated values
**Energy of formation**: -12.5 eV per formula unit
**Magnetization**: 14.95 μB/cell
**Crystal system**: cubic
**V**: 18.59 Å³/atom
**Corrected total energy (MP2020 scheme)**: -6.59 eV per atom
**Mass density**: 4.057 g/cm3
**SG**: F-43m, No. 216

Cell lengths 7.1665, 7.1665, 7.1665 Å; angles 60.00, 60.00, 60.00 degrees
Element x y z (fractional)
Cr  0.1236  0.1236  0.1236
Cr  0.1236  0.1236  0.6291
Cr  0.1236  0.6291  0.1236
Cr  0.6291  0.1236  0.1236
Cd  0.5000  0.5000  0.5000
Co  0.7500  0.7500  0.7500
S  0.3540  0.8820  0.8820
S  0.3587  0.3587  0.3587
S  0.3587  0.3587  0.9240
S  0.3587  0.9240  0.3587
S  0.8820  0.3540  0.8820
S  0.8820  0.8820  0.3540
S  0.8820  0.8820  0.8820
S  0.9240  0.3587  0.3587

# 6
An optimized crystal structure of Dy4CdCo. Source: the Materials Project database, functional PBE.

Calculated values
**Energy of formation**: -1.5 eV per formula unit
**Crystal system**: cubic
**V**: 25.19 Å³/atom
**Mass density**: 9.022 g/cm3
**SG**: F-43m, No. 216

Cell lengths 9.4916, 9.4916, 9.4916 Å; angles 60.00, 60.00, 60.00 degrees
Element x y z (fractional)
Dy  0.0616  0.0616  0.4384
Dy  0.0616  0.4384  0.0616
Dy  0.0616  0.4384  0.4384
Dy  0.1882  0.1882  0.8118
Dy  0.1882  0.8118  0.1882
Dy  0.1882  0.8118  0.8118
Dy  0.2109  0.5964  0.5964
Dy  0.4384  0.0616  0.0616
Dy  0.4384  0.0616  0.4384
Dy  0.4384  0.4384  0.0616
Dy  0.5964  0.2109  0.5964
Dy  0.5964  0.5964  0.2109
Dy  0.5964  0.5964  0.5964
Dy  0.8118  0.1882  0.1882
Dy  0.8118  0.1882  0.8118
Dy  0.8118  0.8118  0.1882
Cd  0.5084  0.8305  0.8305
Cd  0.8305  0.5084  0.8305
Cd  0.8305  0.8305  0.5084
Cd  0.8305  0.8305  0.8305
Co  0.3910  0.3910  0.3910
Co  0.3910  0.3910  0.8269
Co  0.3910  0.8269  0.3910
Co  0.8269  0.3910  0.3910

Question: Among the records above, which one has the highest mass density?
Answer: Dy4CdCo